1.
The following is a DFT calculation (GGA-PBE) of crystalline Ba5Na2Ru3O14 at its relaxed geometry. Values from VASP.

Structure (Quantum ESPRESSO input):
```
&SYSTEM
  ibrav = 0, nat = 48, ntyp = 4
/
ATOMIC_SPECIES
Ba 137.33 Ba.upf
Na 22.99 Na.upf
Ru 101.07 Ru.upf
O 16.00 O.upf
CELL_PARAMETERS angstrom
2.9904 -5.1490 0.0000
2.9904 5.1490 0.0000
0.0000 0.0000 24.5200
ATOMIC_POSITIONS angstrom
Ba 2.9904 5.0917 12.2600
Ba 2.9904 5.0883 20.1596
Ba 2.9904 1.7526 5.2810
Ba 2.9904 1.6873 22.2721
Ba 2.9904 1.6615 14.8741
Ba 2.9904 -1.6615 2.6141
Ba 2.9904 -1.6873 10.0121
Ba 2.9904 -1.7526 17.5410
Ba 2.9904 -5.0917 0.0000
Ba 2.9904 -5.0883 7.8996
Na 2.9904 1.6644 18.5234
Na 2.9904 1.6024 1.3899
Na 2.9904 -1.6024 13.6499
Na 2.9904 -1.6644 6.2634
Ru 2.9904 5.0808 16.1711
Ru 2.9904 1.7814 8.6318
Ru 2.9904 1.7289 11.4016
Ru 2.9904 -1.7289 23.6616
Ru 2.9904 -1.7814 20.8918
Ru 2.9904 -5.0808 3.9111
O 1.5999 2.5974 7.6353
O 1.5742 2.4604 12.4381
O 1.3171 1.1031 16.9232
O 2.9904 3.6481 17.3029
O 1.3282 0.5791 2.6235
O 1.6376 0.9991 9.9836
O 2.9904 3.3282 10.0501
O 1.3282 -0.5791 14.8835
O 1.3171 -1.1031 4.6633
O 1.6376 -0.9991 22.2436
O 4.3808 2.5974 7.6353
O 2.9904 0.1920 7.5915
O 2.9904 0.0709 12.2725
O 4.4065 2.4604 12.4381
O 1.5742 -2.4604 0.1781
O 2.9904 -0.0709 0.0125
O 2.9904 -0.1920 19.8515
O 1.5999 -2.5974 19.8952
O 4.3431 0.9991 9.9836
O 4.6637 1.1031 16.9232
O 4.6525 0.5791 2.6235
O 2.9904 -3.3282 22.3100
O 4.3431 -0.9991 22.2436
O 4.6525 -0.5791 14.8835
O 2.9904 -3.6481 5.0429
O 4.6637 -1.1031 4.6633
O 4.4065 -2.4604 0.1781
O 4.3808 -2.5974 19.8952
```

---

2.
The following is a DFT calculation (GGA-PBE) of crystalline Ba3NaRu2O9 at its relaxed geometry. Values from VASP.

Structure (Quantum ESPRESSO input):
```
&SYSTEM
  ibrav = 0, nat = 120, ntyp = 4
/
ATOMIC_SPECIES
Ba 137.33 Ba.upf
Na 22.99 Na.upf
Ru 101.07 Ru.upf
O 16.00 O.upf
CELL_PARAMETERS angstrom
5.9658 -10.3033 0.0000
5.9658 10.3033 0.0000
0.0000 0.0000 14.6004
ATOMIC_POSITIONS angstrom
Ba 5.9658 10.2735 10.9503
Ba 2.9669 5.0589 10.9503
Ba 2.9705 1.8197 1.3975
Ba 2.9705 1.8197 5.9028
Ba 5.9658 6.8451 1.2329
Ba 5.9658 6.8451 6.0673
Ba 5.9658 3.4585 8.5672
Ba 5.9658 3.4585 13.3335
Ba 2.9705 -1.8197 8.6977
Ba 2.9705 -1.8197 13.2030
Ba 2.9669 -5.0589 3.6501
Ba 5.9658 0.0523 3.6501
Ba 5.9658 -0.0523 10.9503
Ba 8.9646 5.0589 10.9503
Ba 8.9610 1.8197 1.3975
Ba 8.9610 1.8197 5.9028
Ba 5.9658 -3.4585 1.2670
Ba 5.9658 -3.4585 6.0332
Ba 5.9658 -6.8451 8.5331
Ba 5.9658 -6.8451 13.3676
Ba 8.9610 -1.8197 8.6977
Ba 8.9610 -1.8197 13.2030
Ba 8.9646 -5.0589 3.6501
Ba 5.9658 -10.2735 3.6501
Na 0.0000 0.0000 0.0000
Na 0.0000 0.0000 7.3002
Na 2.9829 5.1517 0.0000
Na 2.9829 5.1517 7.3002
Na 2.9829 -5.1517 0.0000
Na 2.9829 -5.1517 7.3002
Na 5.9658 0.0000 0.0000
Na 5.9658 0.0000 7.3002
Ru 5.9658 6.8240 9.6888
Ru 5.9658 6.8240 12.2119
Ru 2.9946 1.6630 9.5428
Ru 2.9946 1.6630 12.3579
Ru 5.9658 3.4990 2.3806
Ru 5.9658 3.4990 4.9196
Ru 2.9946 -1.6630 2.2426
Ru 2.9946 -1.6630 5.0576
Ru 8.9369 1.6630 9.5428
Ru 8.9369 1.6630 12.3579
Ru 5.9658 -3.4990 9.6808
Ru 5.9658 -3.4990 12.2198
Ru 8.9369 -1.6630 2.2426
Ru 8.9369 -1.6630 5.0576
Ru 5.9658 -6.8240 2.3886
Ru 5.9658 -6.8240 4.9117
O 4.5567 7.6782 10.9503
O 1.6697 2.3863 10.9503
O 2.9372 3.2513 8.5472
O 2.9372 3.2513 13.3534
O 4.5820 6.0200 8.6736
O 4.5820 6.0200 13.2270
O 5.9658 8.3862 8.6084
O 5.9658 8.3862 13.2922
O 1.6128 0.8105 8.6380
O 1.6128 0.8105 13.2627
O 1.6128 -0.8105 1.3377
O 1.6128 -0.8105 5.9625
O 4.5990 4.3006 1.3431
O 4.5990 4.3006 5.9571
O 4.2598 2.5017 10.9503
O 7.3748 7.6782 10.9503
O 5.9658 5.1936 10.9503
O 3.0604 0.1421 10.9503
O 4.5445 2.6815 3.6501
O 5.9658 5.1379 3.6501
O 1.6697 -2.3863 3.6501
O 3.0604 -0.1421 3.6501
O 7.3495 6.0200 8.6736
O 7.3495 6.0200 13.2270
O 4.4292 0.9114 8.6394
O 4.4292 0.9114 13.2613
O 2.9372 -3.2513 1.2470
O 2.9372 -3.2513 6.0532
O 7.3326 4.3006 1.3431
O 7.3326 4.3006 5.9571
O 5.9658 1.9197 1.3349
O 5.9658 1.9197 5.9653
O 4.4292 -0.9114 1.3391
O 4.4292 -0.9114 5.9611
O 4.2598 -2.5017 3.6501
O 7.3870 2.6815 3.6501
O 4.5445 -2.6815 10.9503
O 7.6718 2.5017 10.9503
O 7.5023 0.9114 8.6394
O 7.5023 0.9114 13.2613
O 5.9658 -1.9197 8.6352
O 5.9658 -1.9197 13.2655
O 4.5990 -4.3006 8.6433
O 4.5990 -4.3006 13.2573
O 8.9944 3.2513 8.5472
O 8.9944 3.2513 13.3534
O 7.5023 -0.9114 1.3391
O 7.5023 -0.9114 5.9611
O 4.5820 -6.0200 1.3734
O 4.5820 -6.0200 5.9268
O 8.8711 0.1421 10.9503
O 10.2619 2.3863 10.9503
O 5.9658 -5.1379 10.9503
O 7.3870 -2.6815 10.9503
O 8.8711 -0.1421 3.6501
O 5.9658 -5.1936 3.6501
O 4.5567 -7.6782 3.6501
O 7.6718 -2.5017 3.6501
O 7.3326 -4.3006 8.6433
O 7.3326 -4.3006 13.2573
O 10.3187 0.8105 8.6380
O 10.3187 0.8105 13.2627
O 10.3187 -0.8105 1.3377
O 10.3187 -0.8105 5.9625
O 5.9658 -8.3862 1.3082
O 5.9658 -8.3862 5.9920
O 7.3495 -6.0200 1.3734
O 7.3495 -6.0200 5.9268
O 8.9944 -3.2513 1.2470
O 8.9944 -3.2513 6.0532
O 10.2619 -2.3863 3.6501
O 7.3748 -7.6782 3.6501
```

---

3.
The following is a DFT calculation (GGA-PBE) of crystalline Ba3NaRu2O9 at its relaxed geometry. Values from VASP.

Structure (Quantum ESPRESSO input):
```
&SYSTEM
  ibrav = 0, nat = 120, ntyp = 4
/
ATOMIC_SPECIES
Ba 137.33 Ba.upf
Na 22.99 Na.upf
Ru 101.07 Ru.upf
O 16.00 O.upf
CELL_PARAMETERS angstrom
5.9631 -10.3101 0.0000
5.9631 10.3101 0.0000
0.0000 0.0000 14.6025
ATOMIC_POSITIONS angstrom
Ba 5.9631 10.2793 10.9519
Ba 2.9708 5.0668 10.9519
Ba 2.9803 1.8157 1.4051
Ba 2.9803 1.8157 5.8962
Ba 5.9631 6.8466 1.2368
Ba 5.9631 6.8466 6.0645
Ba 5.9631 3.4642 8.5519
Ba 5.9631 3.4642 13.3519
Ba 2.9803 -1.8157 8.7063
Ba 2.9803 -1.8157 13.1975
Ba 2.9708 -5.0668 3.6506
Ba 5.9631 0.0271 3.6506
Ba 5.9631 -0.0271 10.9519
Ba 8.9553 5.0668 10.9519
Ba 8.9458 1.8157 1.4051
Ba 8.9458 1.8157 5.8962
Ba 5.9631 -3.4642 1.2506
Ba 5.9631 -3.4642 6.0506
Ba 5.9631 -6.8466 8.5380
Ba 5.9631 -6.8466 13.3658
Ba 8.9458 -1.8157 8.7063
Ba 8.9458 -1.8157 13.1975
Ba 8.9553 -5.0668 3.6506
Ba 5.9631 -10.2793 3.6506
Na 0.0000 0.0000 0.0000
Na 0.0000 0.0000 7.3013
Na 2.9815 5.1551 0.0000
Na 2.9815 5.1551 7.3013
Na 2.9815 -5.1551 0.0000
Na 2.9815 -5.1551 7.3013
Na 5.9631 0.0000 0.0000
Na 5.9631 0.0000 7.3013
Ru 2.9822 1.6689 9.5465
Ru 2.9822 1.6689 12.3573
Ru 5.9631 6.8291 9.6882
Ru 5.9631 6.8291 12.2156
Ru 2.9822 -1.6689 2.2453
Ru 2.9822 -1.6689 5.0560
Ru 5.9631 3.4835 2.3856
Ru 5.9631 3.4835 4.9157
Ru 5.9631 -3.4835 9.6869
Ru 5.9631 -3.4835 12.2169
Ru 8.9440 1.6689 9.5465
Ru 8.9440 1.6689 12.3573
Ru 5.9631 -6.8291 2.3869
Ru 5.9631 -6.8291 4.9144
Ru 8.9440 -1.6689 2.2453
Ru 8.9440 -1.6689 5.0560
O 4.5557 7.6817 10.9519
O 1.6747 2.4301 10.9519
O 2.9505 3.2605 8.5511
O 2.9505 3.2605 13.3527
O 1.5856 0.8440 8.6459
O 1.5856 0.8440 13.2579
O 4.5830 6.0223 8.6687
O 4.5830 6.0223 13.2351
O 5.9631 8.3920 8.6109
O 5.9631 8.3920 13.2929
O 1.5856 -0.8440 1.3446
O 1.5856 -0.8440 5.9567
O 4.5897 4.2841 1.3525
O 4.5897 4.2841 5.9488
O 4.2653 2.4766 10.9519
O 7.3704 7.6817 10.9519
O 3.0164 0.1425 10.9519
O 5.9631 5.1960 10.9519
O 4.5452 2.6565 3.6506
O 5.9631 5.1226 3.6506
O 1.6747 -2.4301 3.6506
O 3.0164 -0.1425 3.6506
O 7.3431 6.0223 8.6687
O 7.3431 6.0223 13.2351
O 4.4068 0.9047 8.6364
O 4.4068 0.9047 13.2674
O 2.9505 -3.2605 1.2498
O 2.9505 -3.2605 6.0514
O 7.3364 4.2841 1.3525
O 7.3364 4.2841 5.9488
O 5.9631 1.9030 1.3377
O 5.9631 1.9030 5.9635
O 4.4068 -0.9047 1.3352
O 4.4068 -0.9047 5.9661
O 4.2653 -2.4766 3.6506
O 7.3809 2.6565 3.6506
O 4.5452 -2.6565 10.9519
O 7.6608 2.4766 10.9519
O 7.5193 0.9047 8.6364
O 7.5193 0.9047 13.2674
O 5.9631 -1.9030 8.6390
O 5.9631 -1.9030 13.2648
O 4.5897 -4.2841 8.6537
O 4.5897 -4.2841 13.2501
O 8.9756 3.2605 8.5511
O 8.9756 3.2605 13.3527
O 7.5193 -0.9047 1.3352
O 7.5193 -0.9047 5.9661
O 4.5830 -6.0223 1.3674
O 4.5830 -6.0223 5.9339
O 8.9097 0.1425 10.9519
O 10.2514 2.4301 10.9519
O 5.9631 -5.1226 10.9519
O 7.3809 -2.6565 10.9519
O 5.9631 -5.1960 3.6506
O 8.9097 -0.1425 3.6506
O 4.5557 -7.6817 3.6506
O 7.6608 -2.4766 3.6506
O 7.3364 -4.2841 8.6537
O 7.3364 -4.2841 13.2501
O 10.3405 0.8440 8.6459
O 10.3405 0.8440 13.2579
O 5.9631 -8.3920 1.3097
O 5.9631 -8.3920 5.9916
O 7.3431 -6.0223 1.3674
O 7.3431 -6.0223 5.9339
O 10.3405 -0.8440 1.3446
O 10.3405 -0.8440 5.9567
O 8.9756 -3.2605 1.2498
O 8.9756 -3.2605 6.0514
O 10.2514 -2.4301 3.6506
O 7.3704 -7.6817 3.6506
```

---

4.
The following is a DFT calculation (GGA-PBE) of crystalline Ba3NaRuO6 at its relaxed geometry. Values from VASP.

Structure (Quantum ESPRESSO input):
```
&SYSTEM
  ibrav = 0, nat = 22, ntyp = 4
/
ATOMIC_SPECIES
Ba 137.33 Ba.upf
Na 22.99 Na.upf
Ru 101.07 Ru.upf
O 16.00 O.upf
CELL_PARAMETERS angstrom
5.1282 2.9608 4.0225
-5.1282 2.9608 4.0225
0.0000 -5.9215 4.0225
ATOMIC_POSITIONS angstrom
Ba -3.2978 0.2096 5.0281
Ba -1.8304 -2.7512 7.0394
Ba 1.4674 -2.9608 5.0281
Ba -1.4674 2.9608 7.0393
Ba 1.8304 2.7512 5.0281
Ba 3.2978 -0.2096 7.0393
Na 0.0000 0.0000 3.0169
Na 0.0000 0.0000 9.0506
Ru 0.0000 0.0000 0.0000
Ru 0.0000 0.0000 6.0337
O -4.4509 -1.4747 6.8596
O -0.9483 -4.5919 5.2079
O -0.9483 -1.3296 4.8484
O -3.5025 3.1172 5.2079
O -0.6773 1.4861 4.8484
O -1.6257 0.1565 7.2191
O 1.6257 -0.1565 4.8484
O 0.6773 -1.4861 7.2191
O 3.5025 -3.1172 6.8596
O 0.9483 1.3296 7.2191
O 0.9483 4.5919 6.8596
O 4.4509 1.4747 5.2079
```

---

Number 1: energy relative to the elements -2256 meV per atom, spin magnetization 8.0 μB per formula unit. Number 2: energy relative to the elements -2253 meV per atom, spin magnetization 4.0 μB per formula unit. Number 3: energy relative to the elements -2254 meV per atom, spin magnetization 4.0 μB per formula unit. Number 4: energy relative to the elements -2447 meV per atom, spin magnetization 3.0 μB per formula unit.